(1)
Computed, not measured: a relaxed ThCu2Si2 crystal at the r²SCAN level of DFT.

Structure (POSCAR):
```
ThCu2Si2
1.0
-2.057 2.057 4.881
2.057 -2.057 4.881
2.057 2.057 -4.881
Th Cu Si
1 2 2
Direct
0.000 0.000 0.000 Th
0.250 0.750 0.500 Cu
0.750 0.250 0.500 Cu
0.377 0.377 0.000 Si
0.623 0.623 0.000 Si
```

Output
* energy of formation: -0.60 eV/atom
* magnetic moment: 0.00 μB per formula unit


(2)
Computed, not measured: a relaxed Th2CuSi3 crystal at the r²SCAN level of DFT.

Structure (POSCAR):
```
Th2CuSi3
1.0
4.139 0.000 0.000
-2.069 3.584 0.000
0.000 0.000 8.162
Th Cu Si
2 1 3
Direct
0.000 0.000 0.245 Th
0.000 0.000 0.755 Th
0.333 0.667 0.500 Cu
0.333 0.667 0.000 Si
0.667 0.333 0.000 Si
0.667 0.333 0.500 Si
```

Output
* energy of formation: -0.72 eV/atom
* magnetic moment: 0.00 μB per formula unit


(3)
Computed, not measured: a relaxed TiCuSi crystal at the r²SCAN level of DFT.

Structure (POSCAR):
```
TiCuSi
1.0
6.173 0.000 0.000
0.000 3.727 0.000
0.000 0.000 7.092
Ti Cu Si
4 4 4
Direct
0.018 0.250 0.183 Ti
0.482 0.750 0.683 Ti
0.518 0.250 0.317 Ti
0.982 0.750 0.817 Ti
0.155 0.250 0.568 Cu
0.345 0.750 0.068 Cu
0.655 0.250 0.932 Cu
0.845 0.750 0.432 Cu
0.231 0.750 0.384 Si
0.269 0.250 0.884 Si
0.731 0.750 0.116 Si
0.769 0.250 0.616 Si
```

Output
* energy of formation: -0.56 eV/atom
* magnetic moment: 0.00 μB per formula unit


(4)
Computed, not measured: a relaxed TmCuSi crystal at the r²SCAN level of DFT.

Structure (POSCAR):
```
TmCuSi
1.0
4.085 0.000 0.000
-2.043 3.538 0.000
0.000 0.000 7.334
Tm Cu Si
2 2 2
Direct
0.000 0.000 0.000 Tm
0.000 0.000 0.500 Tm
0.333 0.667 0.250 Cu
0.667 0.333 0.750 Cu
0.333 0.667 0.750 Si
0.667 0.333 0.250 Si
```

Output
* energy of formation: -0.73 eV/atom
* magnetic moment: 0.00 μB per formula unit


- Number 3 is which compound?
  TiCuSi